# CaZrO3 | Materials Project | PBE | relaxed
# **Energy of formation from the pure elements**: -3.48 eV/atom
# **Magnetization**: 0.00 μB/atom
# **DFT total energy**: -40.7 eV/cell
data_CaZrO3
_cell_length_a 4.160
_cell_length_b 4.160
_cell_length_c 4.160
_cell_angle_alpha 90.00
_cell_angle_beta 90.00
_cell_angle_gamma 90.00
_symmetry_space_group_name_H-M 'P m -3 m'
_symmetry_Int_Tables_number 221
_symmetry_space_group_name_Hall '-P 4 2 3'
loop_
_atom_site_label
_atom_site_fract_x
_atom_site_fract_y
_atom_site_fract_z
Ca1 0.000 0.000 0.000
Zr1 0.500 0.500 0.500
O1 0.000 0.500 0.500